Entry 1:
The following is a DFT calculation (PBE-GGA) of crystalline Li2SnP2O7 at its relaxed geometry.

Total energy   -6.59 eV/atom

abc: 5.212 7.576 8.663
angles: 113.49 91.08 90.24
Space group P-1 (No. 2)
Inequivalent atoms, fractional coordinates:
Li: 0.191 0.162 0.091 x2
Li: 0.199 0.135 0.498 x2
Sn: 0.268 0.728 0.191 x2
P: 0.275 0.558 0.791 x2
P: 0.304 0.878 0.696 x2
O: 0.002 0.413 0.151 x2
O: 0.150 0.974 0.855 x2
O: 0.183 0.893 0.540 x2
O: 0.308 0.645 0.650 x2
O: 0.349 0.344 0.702 x2
O: 0.407 0.063 0.282 x2
O: 0.469 0.665 0.937 x2

---

Entry 2:
The following is a DFT calculation (PBE-GGA) of crystalline Ba2YTi3O8 at its relaxed geometry.

Total energy   -8.26 eV/atom

abc: 3.993 3.993 11.585
angles: 90.00 90.00 90.00
Space group P4/mmm (No. 123)
Inequivalent atoms, fractional coordinates:
Ba: 0.000 0.000 0.170 x2
Y: 0.000 0.000 0.500 x1
Ti: 0.500 0.500 0.000 x1
Ti: 0.500 0.500 0.352 x2
O: 0.000 0.500 0.000 x2
O: 0.000 0.500 0.372 x4
O: 0.500 0.500 0.184 x2

---

Entry 3:
The following is a DFT calculation (PBE-GGA) of crystalline PrH3S3O12 at its relaxed geometry.

Total energy   -6.15 eV/atom

abc: 9.6547 9.6547 5.9205
angles: 90.00 90.00 120.00
Space group P6_3 (No. 173)
Inequivalent atoms, fractional coordinates:
Pr: 0.3333 0.6667 0.0000 x2
H: 0.0581 0.8355 0.8819 x6
S: 0.0973 0.4013 0.4969 x6
O: 0.0233 0.2111 0.5013 x6
O: 0.0350 0.5668 0.9965 x6
O: 0.1937 0.4491 0.7038 x6
O: 0.1960 0.4586 0.2933 x6